Record 1
VASP calculation (GGA+U) on an optimized crystal structure of LiMnP3HO10.

a = 4.909 Å, b = 8.703 Å, c = 11.560 Å
α = 53.89°, β = 90.00°, γ = 90.00°
Sites, in units of the cell vectors:
Li 0.560 0.500 0.750
Li 0.440 0.500 0.250
Mn 0.500 0.000 0.000
Mn 0.500 0.000 0.500
P 0.999 0.725 0.538
P 0.768 0.000 0.250
P 0.999 0.275 0.962
P 0.001 0.725 0.038
P 0.232 0.000 0.750
P 0.001 0.275 0.462
H 0.000 0.500 0.500
H 0.000 0.500 0.000
O 0.809 0.183 0.913
O 0.296 0.273 0.928
O 0.901 0.528 0.586
O 0.901 0.472 0.914
O 0.595 0.918 0.190
O 0.977 0.849 0.364
O 0.296 0.727 0.572
O 0.809 0.817 0.587
O 0.977 0.151 0.136
O 0.595 0.082 0.310
O 0.405 0.918 0.690
O 0.023 0.849 0.864
O 0.191 0.183 0.413
O 0.704 0.273 0.428
O 0.023 0.151 0.636
O 0.405 0.082 0.810
O 0.099 0.528 0.086
O 0.099 0.472 0.414
O 0.704 0.727 0.072
O 0.191 0.817 0.087

Summary:
The value obtained for the total magnetization is 4.002 μB/f.u. Its final energy is -6.890 eV/atom. The calculation puts the formation energy at -38.60 eV per formula unit. The value obtained for the energy above the lowest structure with this stoichiometry is 0.259 eV/f.u. As for the symmetry: P2/c (13). The calculated density comes out at 2.6 Mg/m³.



Record 2
VASP calculation (GGA+U) on an optimized crystal structure of Li2MnSi2O6.

a = 5.905 Å, b = 9.911 Å, c = 9.294 Å
α = 90.00°, β = 90.07°, γ = 90.00°
Sites, in units of the cell vectors:
Li 0.057 0.411 0.897
Li 0.557 0.911 0.897
Li 0.557 0.089 0.397
Li 0.057 0.589 0.397
Li 0.941 0.326 0.632
Li 0.441 0.826 0.632
Li 0.441 0.174 0.132
Li 0.941 0.674 0.132
Mn 0.488 0.754 0.256
Mn 0.487 0.246 0.756
Mn 0.988 0.254 0.256
Mn 0.987 0.746 0.756
Si 0.340 0.471 0.134
Si 0.840 0.971 0.134
Si 0.840 0.029 0.634
Si 0.340 0.529 0.634
Si 0.666 0.469 0.366
Si 0.166 0.969 0.366
Si 0.166 0.031 0.866
Si 0.666 0.531 0.866
O 0.241 0.397 0.718
O 0.741 0.897 0.718
O 0.741 0.103 0.218
O 0.241 0.603 0.218
O 0.150 0.359 0.092
O 0.650 0.859 0.092
O 0.650 0.141 0.592
O 0.150 0.641 0.592
O 0.890 0.387 0.419
O 0.390 0.887 0.419
O 0.390 0.113 0.919
O 0.890 0.613 0.919
O 0.746 0.382 0.811
O 0.246 0.882 0.811
O 0.246 0.118 0.311
O 0.746 0.618 0.311
O 0.538 0.388 0.230
O 0.038 0.888 0.230
O 0.038 0.112 0.730
O 0.538 0.612 0.730
O 0.469 0.475 0.489
O 0.969 0.975 0.489
O 0.969 0.025 0.989
O 0.469 0.525 0.989

Summary:
The value obtained for the total magnetization is 0.000 μB/f.u. Its final energy is -7.147 eV/atom. The calculation puts the formation energy at -30.89 eV per formula unit. The value obtained for the energy above the lowest structure with this stoichiometry is 0.319 eV/f.u. The calculated density comes out at 2.7 Mg/m³.



Record 3
VASP calculation (GGA+U) on an optimized crystal structure of Li9Mn2Co5O16.

a = 10.830 Å, b = 10.830 Å, c = 10.089 Å
α = 66.21°, β = 66.21°, γ = 15.68°
Sites, in units of the cell vectors:
Li 0.139 0.139 0.052
Li 0.869 0.869 0.933
Li 0.631 0.631 0.811
Li 0.626 0.626 0.308
Li 0.371 0.371 0.186
Li 0.129 0.129 0.565
Li 0.873 0.873 0.445
Li 0.365 0.365 0.698
Li 0.750 0.750 0.875
Mn 0.001 0.001 0.000
Mn 0.750 0.750 0.375
Co 0.502 0.502 0.740
Co 0.248 0.248 0.646
Co 0.999 0.999 0.502
Co 0.499 0.499 0.259
Co 0.253 0.253 0.105
O 0.553 0.553 0.034
O 0.312 0.312 0.918
O 0.055 0.055 0.794
O 0.057 0.057 0.291
O 0.806 0.806 0.169
O 0.559 0.559 0.539
O 0.304 0.304 0.404
O 0.809 0.809 0.650
O 0.691 0.691 0.101
O 0.448 0.448 0.966
O 0.188 0.188 0.834
O 0.197 0.197 0.346
O 0.945 0.945 0.205
O 0.695 0.695 0.581
O 0.441 0.441 0.459
O 0.944 0.944 0.711

Summary:
The value obtained for the total magnetization is 14.000 μB/f.u. Its final energy is -5.799 eV/atom. The calculation puts the formation energy at -57.88 eV per formula unit. The value obtained for the energy above the lowest structure with this stoichiometry is 1.775 eV/f.u. As for the symmetry: Cm (8). The calculated density comes out at 4.1 Mg/m³.



Record 4
VASP calculation (GGA+U) on an optimized crystal structure of SrCaYVO6.

a = 5.787 Å, b = 5.787 Å, c = 5.787 Å
α = 60.00°, β = 60.00°, γ = 60.00°
Sites, in units of the cell vectors:
Sr 0.250 0.250 0.250
Ca 0.750 0.750 0.750
Y 0.500 0.500 0.500
V 0.000 0.000 0.000
O 0.769 0.231 0.231
O 0.231 0.769 0.769
O 0.769 0.231 0.769
O 0.231 0.769 0.231
O 0.769 0.769 0.231
O 0.231 0.231 0.769

Summary:
The value obtained for the total magnetization is 0.000 μB/f.u. Its final energy is -7.399 eV/atom. The calculation puts the formation energy at -30.88 eV per formula unit. As for the symmetry: F-43m (216). The calculated density comes out at 4.4 Mg/m³.



Record 5
VASP calculation (GGA+U) on an optimized crystal structure of MgCr2Ge4O12.

a = 5.513 Å, b = 6.809 Å, c = 6.812 Å
α = 80.75°, β = 73.22°, γ = 73.23°
Sites, in units of the cell vectors:
Mg 0.750 0.274 0.726
Cr 0.751 0.907 0.093
Cr 0.251 0.085 0.915
Ge 0.736 0.389 0.201
Ge 0.765 0.798 0.610
Ge 0.246 0.615 0.812
Ge 0.256 0.188 0.385
O 0.411 0.391 0.334
O 0.090 0.665 0.609
O 0.591 0.603 0.683
O 0.910 0.316 0.397
O 0.159 0.115 0.649
O 0.342 0.351 0.885
O 0.727 0.936 0.380
O 0.776 0.619 0.063
O 0.852 0.197 0.018
O 0.650 0.982 0.803
O 0.144 0.815 0.977
O 0.357 0.023 0.184

Summary:
The value obtained for the total magnetization is 6.010 μB/f.u. Its final energy is -6.800 eV/atom. The calculation puts the formation energy at -42.66 eV per formula unit. The value obtained for the energy above the lowest structure with this stoichiometry is 0.000 eV/f.u. As for the symmetry: C2 (5). The calculated density comes out at 4.3 Mg/m³.



Record 6
VASP calculation (GGA+U) on an optimized crystal structure of VOF.

a = 3.312 Å, b = 3.773 Å, c = 10.046 Å
α = 90.00°, β = 90.00°, γ = 90.00°
Sites, in units of the cell vectors:
V 0.249 0.014 0.399
V 0.749 0.486 0.601
V 0.751 0.514 0.101
V 0.251 0.986 0.899
O 0.749 0.993 0.521
O 0.249 0.507 0.479
O 0.251 0.493 0.979
O 0.751 0.007 0.021
F 0.750 0.181 0.277
F 0.250 0.319 0.723
F 0.250 0.681 0.223
F 0.750 0.819 0.777

Summary:
The value obtained for the total magnetization is 2.000 μB/f.u. Its final energy is -7.180 eV/atom. The calculation puts the formation energy at -8.44 eV per formula unit. As for the symmetry: Pnma (62). The calculated density comes out at 4.5 Mg/m³.



Record 7
VASP calculation (GGA+U) on an optimized crystal structure of MgCo6Ag2P6H4O24.

a = 6.397 Å, b = 9.199 Å, c = 9.078 Å
α = 83.35°, β = 105.74°, γ = 103.36°
Sites, in units of the cell vectors:
Mg 0.485 0.488 0.719
Co 0.333 0.773 0.340
Co 0.824 0.655 0.978
Co 0.102 0.865 0.558
Co 0.318 0.389 0.064
Co 0.878 0.133 0.450
Co 0.731 0.221 0.749
Ag 0.234 0.481 0.417
Ag 0.668 0.563 0.457
P 0.230 0.160 0.811
P 0.790 0.855 0.218
P 0.373 0.150 0.385
P 0.057 0.575 0.786
P 0.637 0.858 0.666
P 0.849 0.369 0.138
H 0.319 0.062 0.162
H 0.184 0.904 0.859
H 0.720 0.931 0.904
H 0.795 0.128 0.122
O 0.259 0.496 0.843
O 0.087 0.703 0.893
O 0.681 0.979 0.792
O 0.788 0.224 0.044
O 0.345 0.288 0.279
O 0.044 0.641 0.620
O 0.636 0.708 0.759
O 0.865 0.325 0.309
O 0.189 0.094 0.471
O 0.359 0.021 0.270
O 0.801 0.844 0.049
O 0.808 0.021 0.243
O 0.244 0.176 0.980
O 0.235 0.989 0.790
O 0.564 0.760 0.238
O 0.988 0.791 0.327
O 0.434 0.257 0.759
O 0.813 0.908 0.574
O 0.834 0.457 0.788
O 0.601 0.166 0.504
O 0.066 0.471 0.113
O 0.411 0.858 0.551
O 0.662 0.463 0.069
O 0.018 0.201 0.701

Summary:
The value obtained for the total magnetization is 18.000 μB/f.u. Its final energy is -6.324 eV/atom. The calculation puts the formation energy at -83.53 eV per formula unit. The value obtained for the energy above the lowest structure with this stoichiometry is 0.000 eV/f.u. As for the symmetry: P1 (1). The calculated density comes out at 3.9 Mg/m³.



Record 8
VASP calculation (GGA+U) on an optimized crystal structure of LiVSiO4.

a = 5.157 Å, b = 10.315 Å, c = 13.707 Å
α = 90.00°, β = 90.00°, γ = 90.00°
Sites, in units of the cell vectors:
Li 0.063 0.035 0.249
Li 0.552 0.213 0.996
Li 0.552 0.287 0.496
Li 0.063 0.465 0.749
Li 0.937 0.535 0.249
Li 0.448 0.713 0.996
Li 0.448 0.787 0.496
Li 0.937 0.965 0.749
V 0.926 0.033 0.499
V 0.558 0.216 0.248
V 0.558 0.284 0.748
V 0.926 0.467 0.999
V 0.074 0.533 0.499
V 0.442 0.716 0.248
V 0.442 0.784 0.748
V 0.074 0.967 0.999
Si 0.435 0.032 0.624
Si 0.056 0.217 0.873
Si 0.056 0.283 0.373
Si 0.435 0.468 0.124
Si 0.565 0.532 0.624
Si 0.944 0.717 0.873
Si 0.944 0.783 0.373
Si 0.565 0.968 0.124
O 0.877 0.999 0.117
O 0.575 0.972 0.526
O 0.447 0.039 0.222
O 0.995 0.060 0.878
O 0.496 0.189 0.629
O 0.923 0.216 0.470
O 0.926 0.282 0.775
O 0.370 0.245 0.868
O 0.370 0.255 0.368
O 0.926 0.218 0.275
O 0.923 0.284 0.970
O 0.496 0.311 0.129
O 0.995 0.440 0.378
O 0.447 0.461 0.722
O 0.575 0.528 0.026
O 0.877 0.501 0.617
O 0.123 0.499 0.117
O 0.425 0.472 0.526
O 0.553 0.539 0.222
O 0.005 0.560 0.878
O 0.504 0.689 0.629
O 0.077 0.716 0.470
O 0.074 0.782 0.775
O 0.630 0.745 0.868
O 0.630 0.755 0.368
O 0.074 0.718 0.275
O 0.077 0.784 0.970
O 0.504 0.811 0.129
O 0.005 0.940 0.378
O 0.553 0.961 0.722
O 0.425 0.028 0.026
O 0.123 0.001 0.617

Summary:
The value obtained for the total magnetization is 2.000 μB/f.u. Its final energy is -7.308 eV/atom. The calculation puts the formation energy at -19.39 eV per formula unit. The value obtained for the energy above the lowest structure with this stoichiometry is 0.482 eV/f.u. As for the symmetry: Pca2_1 (29). The calculated density comes out at 2.7 Mg/m³.



Question: The lowest formation energy belongs to which entry?
Answer: MgCo6Ag2P6H4O24